A relaxed structure of Tb2S3, computed with r2SCAN.

- SG: No. 62

Unit cell a=10.664 b=3.881 c=10.503 alpha=90.00 beta=90.00 gamma=90.00
Element x y z (fractional)
Tb: 0.010 0.250 0.187
Tb: 0.192 0.250 0.504
Tb: 0.308 0.750 0.004
Tb: 0.490 0.750 0.687
Tb: 0.510 0.250 0.313
Tb: 0.692 0.250 0.996
Tb: 0.808 0.750 0.496
Tb: 0.990 0.750 0.813
S: 0.046 0.750 0.373
S: 0.119 0.250 0.945
S: 0.228 0.750 0.696
S: 0.272 0.250 0.196
S: 0.381 0.750 0.445
S: 0.454 0.250 0.873
S: 0.546 0.750 0.127
S: 0.619 0.250 0.555
S: 0.728 0.750 0.804
S: 0.772 0.250 0.304
S: 0.881 0.750 0.055
S: 0.954 0.250 0.627



A relaxed structure of Tb2S3, computed with r2SCAN.

- SG: No. 62

Unit cell a=7.328 b=3.900 c=15.221 alpha=90.00 beta=90.00 gamma=90.00
Element x y z (fractional)
Tb: 0.142 0.250 0.204
Tb: 0.234 0.750 0.457
Tb: 0.266 0.250 0.957
Tb: 0.358 0.750 0.704
Tb: 0.642 0.250 0.296
Tb: 0.734 0.750 0.043
Tb: 0.766 0.250 0.543
Tb: 0.858 0.750 0.796
S: 0.010 0.250 0.392
S: 0.124 0.750 0.067
S: 0.150 0.250 0.782
S: 0.350 0.750 0.282
S: 0.376 0.250 0.567
S: 0.490 0.750 0.892
S: 0.510 0.250 0.108
S: 0.624 0.750 0.433
S: 0.650 0.250 0.718
S: 0.850 0.750 0.218
S: 0.876 0.250 0.933
S: 0.990 0.750 0.608



A relaxed structure of TbS, computed with r2SCAN.

- SG: No. 225

Unit cell a=3.915 b=3.915 c=3.915 alpha=60.00 beta=60.00 gamma=60.00
Element x y z (fractional)
Tb: 0.000 0.000 0.000
S: 0.500 0.500 0.500



E_tot, respectively: -19.702 -19.696 -21.902 eV/atom.
Energy of formation, respectively: -1153 -1151 -438 kJ/mol of formula units.